Entry 1:
Here is a relaxed SrMo4H4O15 crystal from the Materials Project database. Energies are from PBE with a Hubbard U.

Calculated values
- ΔH_f (0 K) (eV/atom) = -1.937

Geometry as CIF:
```
data_SrMo4H4O15
_space_group_name_H-M_alt 'P 1'
_space_group_IT_number 1
_cell_length_a 7.635
_cell_length_b 15.856
_cell_length_c 19.801
_cell_angle_alpha 90.00
_cell_angle_beta 90.00
_cell_angle_gamma 90.00
loop_
_space_group_symop_operation_xyz
'x,y,z'
loop_
_atom_site_label
_atom_site_fract_x
_atom_site_fract_y
_atom_site_fract_z
O1 0.829 0.470 0.693
O2 0.823 0.381 0.329
O3 0.644 0.233 0.571
O4 0.507 0.238 0.072
O5 0.158 0.671 0.055
O6 0.829 0.209 0.306
O7 0.635 0.116 0.212
O8 0.658 0.829 0.555
O9 0.993 0.762 0.572
O10 0.493 0.738 0.072
O11 0.938 0.277 0.813
O12 0.316 0.909 0.575
O13 0.027 0.568 0.170
O14 0.450 0.552 0.563
O15 0.806 0.924 0.424
O16 0.184 0.409 0.925
O17 0.973 0.432 0.830
O18 0.591 0.458 0.931
O19 0.007 0.262 0.572
O20 0.973 0.068 0.170
O21 0.507 0.262 0.928
O22 0.135 0.384 0.712
O23 0.376 0.686 0.776
O24 0.582 0.598 0.689
O25 0.671 0.530 0.193
O26 0.473 0.068 0.330
O27 0.158 0.829 0.945
O28 0.409 0.958 0.931
O29 0.993 0.738 0.428
O30 0.658 0.671 0.445
O31 0.671 0.709 0.194
O32 0.527 0.932 0.670
O33 0.624 0.186 0.776
O34 0.450 0.948 0.437
O35 0.091 0.042 0.431
O36 0.671 0.791 0.806
O37 0.562 0.723 0.313
O38 0.684 0.091 0.425
O39 0.329 0.470 0.807
O40 0.329 0.209 0.194
O41 0.144 0.267 0.071
O42 0.842 0.329 0.945
O43 0.306 0.924 0.076
O44 0.177 0.881 0.329
O45 0.909 0.958 0.569
O46 0.007 0.238 0.428
O47 0.909 0.542 0.431
O48 0.938 0.223 0.187
O49 0.550 0.448 0.437
O50 0.684 0.409 0.575
O51 0.135 0.116 0.288
O52 0.816 0.909 0.925
O53 0.806 0.576 0.576
O54 0.856 0.767 0.071
O55 0.694 0.424 0.076
O56 0.823 0.119 0.671
O57 0.329 0.030 0.193
O58 0.950 0.948 0.063
O59 0.677 0.619 0.829
O60 0.342 0.329 0.555
O61 0.829 0.291 0.694
O62 0.062 0.723 0.187
O63 0.323 0.119 0.829
O64 0.342 0.171 0.445
O65 0.562 0.777 0.687
O66 0.177 0.619 0.671
O67 0.356 0.767 0.429
O68 0.842 0.171 0.055
O69 0.194 0.076 0.576
O70 0.438 0.223 0.313
O71 0.027 0.932 0.830
O72 0.409 0.542 0.069
O73 0.418 0.098 0.689
O74 0.856 0.733 0.929
O75 0.694 0.076 0.924
O76 0.171 0.530 0.307
O77 0.527 0.568 0.330
O78 0.493 0.762 0.928
O79 0.144 0.233 0.929
O80 0.918 0.402 0.189
O81 0.316 0.591 0.425
O82 0.829 0.030 0.307
O83 0.082 0.598 0.811
O84 0.124 0.314 0.276
O85 0.876 0.814 0.276
O86 0.816 0.591 0.075
O87 0.418 0.402 0.311
O88 0.918 0.098 0.811
O89 0.329 0.291 0.806
O90 0.550 0.052 0.563
O91 0.365 0.616 0.212
O92 0.050 0.448 0.063
O93 0.865 0.884 0.712
O94 0.671 0.970 0.807
O95 0.184 0.091 0.075
O96 0.062 0.777 0.813
O97 0.644 0.267 0.429
O98 0.356 0.733 0.571
O99 0.171 0.791 0.694
O100 0.582 0.902 0.311
O101 0.624 0.314 0.224
O102 0.171 0.970 0.693
O103 0.194 0.424 0.424
O104 0.124 0.186 0.724
O105 0.323 0.381 0.171
O106 0.438 0.277 0.687
O107 0.050 0.052 0.937
O108 0.365 0.884 0.788
O109 0.376 0.814 0.224
O110 0.865 0.616 0.288
O111 0.635 0.384 0.788
O112 0.591 0.042 0.069
O113 0.082 0.902 0.189
O114 0.950 0.552 0.937
O115 0.876 0.686 0.724
O116 0.473 0.432 0.670
O117 0.171 0.709 0.306
O118 0.091 0.458 0.569
O119 0.677 0.881 0.171
O120 0.306 0.576 0.924
H1 0.962 0.222 0.382
H2 0.692 0.419 0.933
H3 0.808 0.919 0.567
H4 0.192 0.419 0.567
H5 0.538 0.778 0.882
H6 0.951 0.543 0.384
H7 0.049 0.043 0.384
H8 0.549 0.457 0.884
H9 0.692 0.081 0.067
H10 0.192 0.081 0.433
H11 0.451 0.543 0.116
H12 0.634 0.269 0.926
H13 0.049 0.457 0.616
H14 0.451 0.957 0.884
H15 0.462 0.222 0.118
H16 0.038 0.778 0.618
H17 0.366 0.731 0.074
H18 0.538 0.722 0.118
H19 0.866 0.769 0.574
H20 0.808 0.581 0.433
H21 0.866 0.731 0.426
H22 0.951 0.957 0.616
H23 0.462 0.278 0.882
H24 0.366 0.769 0.926
H25 0.962 0.278 0.618
H26 0.308 0.581 0.067
H27 0.134 0.231 0.426
H28 0.134 0.269 0.574
H29 0.634 0.231 0.074
H30 0.038 0.722 0.382
H31 0.308 0.919 0.933
H32 0.549 0.043 0.116
Mo1 0.649 0.888 0.746
Mo2 0.156 0.678 0.745
Mo3 0.656 0.678 0.755
Mo4 0.531 0.181 0.396
Mo5 0.872 0.475 0.114
Mo6 0.128 0.525 0.886
Mo7 0.469 0.819 0.604
Mo8 0.851 0.388 0.754
Mo9 0.469 0.681 0.396
Mo10 0.372 0.475 0.386
Mo11 0.649 0.612 0.254
Mo12 0.844 0.322 0.255
Mo13 0.531 0.319 0.604
Mo14 0.969 0.819 0.896
Mo15 0.344 0.178 0.755
Mo16 0.149 0.612 0.246
Mo17 0.628 0.525 0.614
Mo18 0.128 0.975 0.114
Mo19 0.031 0.319 0.896
Mo20 0.851 0.112 0.246
Mo21 0.344 0.322 0.245
Mo22 0.656 0.822 0.245
Mo23 0.031 0.181 0.104
Mo24 0.628 0.975 0.386
Mo25 0.156 0.822 0.255
Mo26 0.149 0.888 0.754
Mo27 0.969 0.681 0.104
Mo28 0.844 0.178 0.745
Mo29 0.872 0.025 0.886
Mo30 0.351 0.112 0.254
Mo31 0.351 0.388 0.746
Mo32 0.372 0.025 0.614
Sr1 0.128 0.883 0.465
Sr2 0.372 0.117 0.965
Sr3 0.372 0.383 0.035
Sr4 0.628 0.617 0.965
Sr5 0.628 0.883 0.035
Sr6 0.872 0.117 0.535
Sr7 0.872 0.383 0.465
Sr8 0.128 0.617 0.535
```

=====

Entry 2:
Here is a relaxed MgMn6O4F8 crystal from the Materials Project database. Energies are from PBE with a Hubbard U.

Calculated values
- energy above the lowest structure with this stoichiometry (meV/atom) = 16.0
- ΔH_f (0 K) (eV/atom) = -2.607

Geometry as CIF:
```
data_MgMn6O4F8
_space_group_name_H-M_alt 'P 1'
_space_group_IT_number 1
_cell_length_a 5.410
_cell_length_b 7.876
_cell_length_c 5.981
_cell_angle_alpha 96.84
_cell_angle_beta 87.59
_cell_angle_gamma 91.44
loop_
_space_group_symop_operation_xyz
'x,y,z'
loop_
_atom_site_label
_atom_site_fract_x
_atom_site_fract_y
_atom_site_fract_z
F1 0.193 0.911 0.672
F2 0.703 0.080 0.805
F3 0.878 0.429 0.694
F4 0.335 0.911 0.175
F5 0.134 0.265 0.047
F6 0.818 0.095 0.321
F7 0.316 0.577 0.884
F8 0.124 0.565 0.333
O1 0.368 0.222 0.562
O2 0.654 0.463 0.138
O3 0.848 0.746 0.953
O4 0.635 0.778 0.443
Mn1 0.996 0.987 0.002
Mn2 0.531 0.685 0.146
Mn3 0.502 0.002 0.502
Mn4 0.511 0.321 0.862
Mn5 0.074 0.299 0.416
Mn6 0.918 0.705 0.611
Mg1 0.990 0.520 0.018
```